[1]
The following is a DFT calculation (GGA+U) of a relaxed MoP2PbO8 crystal.

Unit cell a=10.232 b=10.232 c=6.668 alpha=81.70 beta=81.70 gamma=90.42
Atoms (fractional coordinates):
Mo (0.275, 0.992, 0.687)
Mo (0.992, 0.275, 0.187)
Mo (0.725, 0.008, 0.313)
Mo (0.008, 0.725, 0.813)
P (0.984, 0.792, 0.303)
P (0.494, 0.763, 0.536)
P (0.506, 0.237, 0.464)
P (0.208, 0.016, 0.197)
P (0.237, 0.506, 0.964)
P (0.763, 0.494, 0.036)
P (0.016, 0.208, 0.697)
P (0.792, 0.984, 0.803)
Pb (0.491, 0.262, 0.958)
Pb (0.738, 0.509, 0.542)
Pb (0.262, 0.491, 0.458)
Pb (0.509, 0.738, 0.042)
O (0.155, 0.157, 0.670)
O (0.868, 0.132, 0.250)
O (0.845, 0.843, 0.330)
O (0.157, 0.155, 0.170)
O (0.292, 0.983, 0.002)
O (0.583, 0.674, 0.663)
O (0.417, 0.326, 0.337)
O (0.674, 0.583, 0.163)
O (0.011, 0.711, 0.127)
O (0.326, 0.417, 0.837)
O (0.289, 0.989, 0.373)
O (0.133, 0.427, 0.134)
O (0.078, 0.922, 0.250)
O (0.132, 0.868, 0.750)
O (0.163, 0.592, 0.805)
O (0.589, 0.318, 0.582)
O (0.867, 0.573, 0.866)
O (0.318, 0.589, 0.082)
O (0.708, 0.017, 0.998)
O (0.411, 0.682, 0.418)
O (0.017, 0.708, 0.498)
O (0.573, 0.867, 0.366)
O (0.408, 0.837, 0.695)
O (0.843, 0.845, 0.830)
O (0.837, 0.408, 0.195)
O (0.592, 0.163, 0.305)
O (0.922, 0.078, 0.750)
O (0.989, 0.289, 0.873)
O (0.427, 0.133, 0.634)
O (0.983, 0.292, 0.502)
O (0.682, 0.411, 0.918)
O (0.711, 0.011, 0.627)

Properties
* space group: C2/c, No. 15
* theoretical density: 4.8 Mg/m³
* DFT total energy: -7.1106 eV/atom
* size of the total moment: 0.1667 μB/atom
* E_form: -29.056 eV/f.u.



[2]
The following is a DFT calculation (GGA+U) of a relaxed Mo3P2PbO14 crystal.

Unit cell a=6.528 b=8.574 c=10.843 alpha=112.98 beta=90.00 gamma=90.00
Atoms (fractional coordinates):
Mo (0.750, 0.756, 0.989)
Mo (0.250, 0.244, 0.011)
Mo (0.750, 0.746, 0.668)
Mo (0.250, 0.254, 0.332)
Mo (0.750, 0.166, 0.624)
Mo (0.250, 0.834, 0.376)
P (0.750, 0.155, 0.936)
P (0.250, 0.845, 0.064)
P (0.250, 0.879, 0.699)
P (0.750, 0.121, 0.301)
Pb (0.250, 0.506, 0.738)
Pb (0.750, 0.494, 0.262)
O (0.750, 0.604, 0.056)
O (0.250, 0.396, 0.944)
O (0.750, 0.966, 0.169)
O (0.250, 0.034, 0.831)
O (0.063, 0.770, 0.971)
O (0.563, 0.230, 0.029)
O (0.937, 0.230, 0.029)
O (0.437, 0.770, 0.971)
O (0.750, 0.631, 0.796)
O (0.250, 0.369, 0.204)
O (0.750, 0.959, 0.881)
O (0.250, 0.041, 0.119)
O (0.750, 0.575, 0.515)
O (0.250, 0.425, 0.485)
O (0.750, 0.942, 0.612)
O (0.250, 0.058, 0.388)
O (0.064, 0.762, 0.691)
O (0.564, 0.238, 0.309)
O (0.936, 0.238, 0.309)
O (0.436, 0.762, 0.691)
O (0.525, 0.285, 0.638)
O (0.025, 0.715, 0.362)
O (0.475, 0.715, 0.362)
O (0.975, 0.285, 0.638)
O (0.750, 0.224, 0.824)
O (0.250, 0.776, 0.176)
O (0.750, 0.063, 0.419)
O (0.250, 0.937, 0.581)

Properties
* space group: P2_1/m, No. 11
* theoretical density: 4.6 Mg/m³
* DFT total energy: -7.0763 eV/atom
* size of the total moment: 0.1000 μB/atom
* E_form: -44.402 eV/f.u.



[3]
The following is a DFT calculation (GGA+U) of a relaxed RbMoPO6 crystal.

Unit cell a=10.266 b=9.822 c=8.475 alpha=67.80 beta=62.35 gamma=49.85
Atoms (fractional coordinates):
Rb (0.797, 0.203, 0.203)
Rb (0.203, 0.797, 0.797)
Rb (0.453, 0.047, 0.047)
Rb (0.047, 0.453, 0.453)
Mo (0.969, 0.531, 0.969)
Mo (0.531, 0.969, 0.531)
Mo (0.281, 0.719, 0.281)
Mo (0.719, 0.281, 0.719)
P (0.368, 0.368, 0.632)
P (0.632, 0.632, 0.368)
P (0.882, 0.882, 0.618)
P (0.618, 0.618, 0.882)
O (0.162, 0.455, 0.730)
O (0.653, 0.730, 0.455)
O (0.730, 0.653, 0.162)
O (0.455, 0.162, 0.653)
O (0.088, 0.795, 0.520)
O (0.597, 0.520, 0.795)
O (0.520, 0.597, 0.088)
O (0.795, 0.088, 0.597)
O (0.445, 0.394, 0.727)
O (0.434, 0.727, 0.394)
O (0.727, 0.434, 0.445)
O (0.394, 0.445, 0.434)
O (0.805, 0.856, 0.523)
O (0.816, 0.523, 0.856)
O (0.523, 0.816, 0.805)
O (0.856, 0.805, 0.816)
O (0.073, 0.571, 0.040)
O (0.315, 0.040, 0.571)
O (0.040, 0.315, 0.073)
O (0.571, 0.073, 0.315)
O (0.177, 0.679, 0.210)
O (0.935, 0.210, 0.679)
O (0.210, 0.935, 0.177)
O (0.679, 0.177, 0.935)

Properties
* space group: Fddd, No. 70
* theoretical density: 3.6 Mg/m³
* DFT total energy: -6.7829 eV/atom
* size of the total moment: 0.0000 μB/atom
* E_form: -21.443 eV/f.u.



[4]
The following is a DFT calculation (GGA+U) of a relaxed RbMoP2O7 crystal.

Unit cell a=10.620 b=7.697 c=8.600 alpha=73.84 beta=90.00 gamma=90.00
Atoms (fractional coordinates):
Rb (0.820, 0.186, 0.441)
Rb (0.320, 0.814, 0.059)
Rb (0.180, 0.814, 0.559)
Rb (0.680, 0.186, 0.941)
Mo (0.101, 0.237, 0.742)
Mo (0.601, 0.763, 0.758)
Mo (0.899, 0.763, 0.258)
Mo (0.399, 0.237, 0.242)
P (0.400, 0.128, 0.675)
P (0.900, 0.872, 0.825)
P (0.600, 0.872, 0.325)
P (0.100, 0.128, 0.175)
P (0.134, 0.435, 0.309)
P (0.634, 0.565, 0.191)
P (0.866, 0.565, 0.691)
P (0.366, 0.435, 0.809)
O (0.275, 0.450, 0.264)
O (0.775, 0.550, 0.236)
O (0.725, 0.550, 0.736)
O (0.225, 0.450, 0.764)
O (0.003, 0.999, 0.279)
O (0.503, 0.001, 0.221)
O (0.997, 0.001, 0.721)
O (0.497, 0.999, 0.779)
O (0.104, 0.324, 0.481)
O (0.604, 0.676, 0.019)
O (0.896, 0.676, 0.519)
O (0.396, 0.324, 0.981)
O (0.094, 0.138, 0.998)
O (0.594, 0.862, 0.502)
O (0.906, 0.862, 0.002)
O (0.406, 0.138, 0.498)
O (0.435, 0.328, 0.692)
O (0.935, 0.672, 0.808)
O (0.565, 0.672, 0.308)
O (0.065, 0.328, 0.192)
O (0.268, 0.077, 0.748)
O (0.768, 0.923, 0.752)
O (0.732, 0.923, 0.252)
O (0.232, 0.077, 0.248)
O (0.423, 0.624, 0.761)
O (0.923, 0.376, 0.739)
O (0.577, 0.376, 0.239)
O (0.077, 0.624, 0.261)

Properties
* space group: P2_1/c, No. 14
* theoretical density: 3.5 Mg/m³
* DFT total energy: -7.0789 eV/atom
* E_form: -28.590 eV/f.u.



- Look up the E_form of the fourth one.
  -28.590 eV/f.u.